{
  "formula": "Ca2ZrTiSi2O10",
  "functional": "PBE",
  "state": "relaxed",
  "cell": [[5.554, 0.000, 0.000], [-1.530, 5.410, 0.000], [-1.755, -2.347, 6.699]],
  "species": ["O", "Ca", "O", "Zr", "O", "O", "Ca", "Si", "O", "O", "O", "O", "Ti", "O", "Si", "O"],
  "frac_coords": [[0.829, 0.392, 0.126], [0.823, 0.159, 0.739], [0.613, 0.191, 0.377], [0.500, 0.500, 0.000], [0.764, 0.894, 0.100], [0.125, 0.251, 0.414], [0.177, 0.841, 0.261], [0.829, 0.188, 0.255], [0.387, 0.809, 0.623], [0.422, 0.580, 0.263], [0.578, 0.420, 0.737], [0.171, 0.608, 0.874], [0.500, 0.500, 0.500], [0.875, 0.749, 0.586], [0.171, 0.812, 0.745], [0.236, 0.106, 0.900]],
  "e_form_ev_per_atom": -3.516,
  "space_group": "P-1, No. 2",
  "magnetic_moment_mub_per_atom": 0.00
}


{
  "formula": "Ca4ZrTi3Si4O20",
  "functional": "PBE",
  "state": "relaxed",
  "cell": [[6.693, 0.000, 0.000], [-2.911, -6.596, 0.000], [-0.049, 0.017, -8.859]],
  "species": ["O", "O", "Ca", "O", "O", "O", "Ca", "Si", "Si", "O", "Ti", "Si", "O", "O", "Ti", "O", "Zr", "Si", "O", "O", "O", "O", "O", "Ca", "O", "O", "O", "O", "O", "Ti", "O", "Ca"],
  "frac_coords": [[0.608, 0.122, 0.221], [0.499, 0.737, 0.082], [0.500, 0.255, 0.666], [0.811, 0.586, 0.066], [0.686, 0.906, 0.564], [0.830, 0.095, 0.933], [0.992, 0.745, 0.827], [0.501, 0.251, 0.322], [0.992, 0.746, 0.183], [0.501, 0.263, 0.918], [0.500, 0.500, 0.000], [0.499, 0.749, 0.678], [0.104, 0.120, 0.709], [0.896, 0.880, 0.291], [0.000, 0.500, 0.500], [0.314, 0.094, 0.436], [0.500, 0.000, 0.000], [0.008, 0.254, 0.817], [0.001, 0.750, 0.568], [0.170, 0.905, 0.067], [0.602, 0.624, 0.788], [0.398, 0.376, 0.212], [0.392, 0.878, 0.779], [0.500, 0.745, 0.334], [0.189, 0.414, 0.934], [0.685, 0.411, 0.438], [0.097, 0.617, 0.289], [0.315, 0.589, 0.562], [0.903, 0.383, 0.711], [0.000, 0.000, 0.500], [0.999, 0.250, 0.432], [0.008, 0.255, 0.173]],
  "e_form_ev_per_atom": -3.492,
  "space_group": "P-1, No. 2",
  "e_above_lowest_polymorph_ev_per_atom": 0.002,
  "magnetic_moment_mub_per_atom": 0.00
}


{
  "formula": "Ca4ZrTi3Si4O20",
  "functional": "PBE",
  "state": "relaxed",
  "cell": [[-5.028, -0.296, -2.285], [2.358, -4.962, -0.898], [-4.608, -3.721, 11.831]],
  "species": ["O", "Zr", "Si", "O", "Ca", "Ca", "O", "Si", "Ca", "Si", "O", "Ti", "O", "O", "Si", "O", "O", "O", "Ca", "Ti", "O", "O", "O", "O", "O", "O", "O", "O", "Ti", "O", "O", "O"],
  "frac_coords": [[0.709, 0.553, 0.134], [0.500, 0.500, 0.000], [0.297, 0.939, 0.130], [0.291, 0.447, 0.866], [0.047, 0.711, 0.868], [0.454, 0.796, 0.624], [0.575, 0.998, 0.192], [0.703, 0.061, 0.870], [0.546, 0.204, 0.376], [0.195, 0.556, 0.377], [0.425, 0.002, 0.808], [0.250, 0.252, 0.746], [0.418, 0.549, 0.299], [0.715, 0.845, 0.950], [0.805, 0.444, 0.623], [0.796, 0.669, 0.547], [0.196, 0.055, 0.623], [0.079, 0.504, 0.688], [0.953, 0.289, 0.132], [0.000, 0.000, 0.500], [0.582, 0.451, 0.701], [0.254, 0.828, 0.442], [0.921, 0.496, 0.312], [0.746, 0.172, 0.558], [0.804, 0.945, 0.377], [0.769, 0.331, 0.936], [0.918, 0.041, 0.790], [0.082, 0.959, 0.210], [0.750, 0.748, 0.254], [0.204, 0.331, 0.453], [0.231, 0.669, 0.064], [0.285, 0.155, 0.050]],
  "e_form_ev_per_atom": -3.494,
  "space_group": "P-1, No. 2",
  "e_above_lowest_polymorph_ev_per_atom": 0.000,
  "magnetic_moment_mub_per_atom": 0.00
}


{
  "formula": "CaYSiO5",
  "functional": "PBE",
  "state": "relaxed",
  "cell": [[2.972, -4.847, -0.394], [3.622, 4.381, -0.408], [3.522, -0.238, 7.181]],
  "species": ["O", "O", "Si", "O", "O", "Y", "Ca", "O", "Ca", "O", "O", "O", "Y", "O", "O", "Si"],
  "frac_coords": [[0.659, 0.080, 0.155], [0.341, 0.920, 0.845], [0.317, 0.683, 0.750], [0.587, 0.729, 0.603], [0.891, 0.109, 0.750], [0.000, 0.000, 0.000], [0.351, 0.649, 0.250], [0.413, 0.271, 0.397], [0.649, 0.351, 0.750], [0.920, 0.341, 0.345], [0.729, 0.587, 0.103], [0.109, 0.891, 0.250], [0.000, 0.000, 0.500], [0.080, 0.659, 0.655], [0.271, 0.413, 0.897], [0.683, 0.317, 0.250]],
  "e_form_ev_per_atom": -3.271,
  "space_group": "C2/c, No. 15",
  "magnetic_moment_mub_per_atom": 0.12
}


{
  "formula": "Ca2Y3Si3O13",
  "functional": "PBE",
  "state": "relaxed",
  "cell": [[0.363, -1.471, 6.744], [-4.392, -8.244, -1.561], [9.421, 0.495, -0.399]],
  "species": ["O", "Ca", "O", "O", "O", "O", "O", "Si", "O", "Ca", "O", "Si", "O", "O", "Y", "O", "O", "Y", "Si", "Ca", "O", "O", "Si", "O", "O", "O", "O", "O", "Y", "Y", "O", "O", "O", "O", "Y", "O", "Y", "O", "O", "Ca", "Si", "Si"],
  "frac_coords": [[0.767, 0.998, 0.999], [0.018, 0.665, 0.333], [0.081, 0.088, 0.759], [0.263, 0.411, 0.884], [0.582, 0.325, 0.086], [0.953, 0.758, 0.668], [0.453, 0.242, 0.332], [0.767, 0.632, 0.609], [0.581, 0.759, 0.672], [0.518, 0.335, 0.667], [0.081, 0.241, 0.328], [0.766, 0.977, 0.369], [0.267, 0.002, 0.001], [0.767, 0.300, 0.824], [0.267, 0.994, 0.241], [0.267, 0.825, 0.524], [0.267, 0.475, 0.299], [0.767, 0.240, 0.247], [0.267, 0.368, 0.391], [0.513, 0.666, 0.335], [0.267, 0.700, 0.176], [0.452, 0.669, 0.910], [0.766, 0.389, 0.022], [0.767, 0.525, 0.701], [0.082, 0.675, 0.914], [0.763, 0.884, 0.476], [0.581, 0.912, 0.241], [0.452, 0.090, 0.757], [0.267, 0.248, 0.004], [0.267, 0.760, 0.753], [0.763, 0.589, 0.116], [0.952, 0.910, 0.243], [0.263, 0.116, 0.524], [0.263, 0.476, 0.591], [0.767, 0.006, 0.759], [0.763, 0.524, 0.409], [0.767, 0.752, 0.996], [0.952, 0.331, 0.090], [0.767, 0.175, 0.476], [0.013, 0.334, 0.665], [0.266, 0.023, 0.631], [0.266, 0.611, 0.978]],
  "e_form_ev_per_atom": -3.545,
  "space_group": "P2_1, No. 4",
  "e_above_lowest_polymorph_ev_per_atom": 0.000,
  "magnetic_moment_mub_per_atom": 0.05
}


{
  "formula": "Ca2Y3Si3O13",
  "functional": "PBE",
  "state": "relaxed",
  "cell": [[-2.170, -6.095, 2.437], [8.209, -1.087, 4.592], [0.921, 3.214, 8.859]],
  "species": ["Si", "O", "Y", "O", "O", "Si", "O", "O", "O", "Si", "Y", "Y", "Ca", "O", "Si", "O", "O", "O", "Ca", "Y", "O", "O", "O", "Y", "O", "Si", "Ca", "O", "O", "O", "Si", "O", "O", "O", "Y", "O", "O", "O", "Ca", "O", "O", "O"],
  "frac_coords": [[0.233, 0.023, 0.368], [0.230, 0.999, 0.002], [0.233, 0.993, 0.762], [0.234, 0.699, 0.825], [0.419, 0.088, 0.241], [0.734, 0.392, 0.977], [0.418, 0.239, 0.675], [0.733, 0.176, 0.526], [0.733, 0.525, 0.299], [0.733, 0.977, 0.632], [0.733, 0.754, 0.006], [0.233, 0.758, 0.246], [0.983, 0.331, 0.336], [0.734, 0.301, 0.175], [0.234, 0.367, 0.610], [0.237, 0.408, 0.117], [0.736, 0.886, 0.524], [0.547, 0.910, 0.757], [0.987, 0.669, 0.666], [0.233, 0.246, 0.994], [0.737, 0.526, 0.589], [0.236, 0.114, 0.476], [0.737, 0.592, 0.883], [0.733, 0.242, 0.754], [0.548, 0.333, 0.910], [0.234, 0.608, 0.023], [0.487, 0.331, 0.334], [0.919, 0.328, 0.913], [0.233, 0.824, 0.474], [0.047, 0.242, 0.668], [0.734, 0.633, 0.390], [0.919, 0.912, 0.759], [0.547, 0.758, 0.332], [0.048, 0.667, 0.090], [0.733, 0.007, 0.238], [0.237, 0.474, 0.411], [0.047, 0.090, 0.243], [0.419, 0.672, 0.087], [0.483, 0.669, 0.664], [0.918, 0.761, 0.325], [0.730, 0.001, 0.998], [0.233, 0.475, 0.701]],
  "e_form_ev_per_atom": -3.545,
  "space_group": "P2_1, No. 4",
  "e_above_lowest_polymorph_ev_per_atom": 0.000,
  "magnetic_moment_mub_per_atom": 0.05
}


{
  "formula": "Ca2Y3Si3O13",
  "functional": "PBE",
  "state": "relaxed",
  "cell": [[6.912, 0.000, 0.000], [0.000, 9.443, 0.000], [0.000, 4.695, 8.194]],
  "species": ["O", "O", "O", "O", "Y", "O", "O", "O", "O", "O", "Y", "Ca", "Si", "O", "O", "O", "O", "O", "Y", "Si", "O", "O", "O", "O", "Si", "O", "O", "Y", "O", "Si", "O", "Y", "Ca", "O", "Ca", "O", "O", "Ca", "Y", "O", "Si", "Si"],
  "frac_coords": [[0.937, 0.667, 0.090], [0.937, 0.090, 0.242], [0.937, 0.241, 0.669], [0.437, 0.333, 0.910], [0.250, 0.007, 0.240], [0.563, 0.241, 0.669], [0.750, 0.408, 0.116], [0.437, 0.910, 0.758], [0.563, 0.090, 0.242], [0.063, 0.333, 0.910], [0.250, 0.244, 0.752], [0.003, 0.331, 0.335], [0.250, 0.392, 0.977], [0.250, 0.527, 0.589], [0.437, 0.759, 0.331], [0.063, 0.759, 0.331], [0.250, 0.301, 0.175], [0.250, 0.001, 0.998], [0.750, 0.247, 0.994], [0.250, 0.977, 0.632], [0.250, 0.176, 0.525], [0.750, 0.999, 0.002], [0.750, 0.473, 0.411], [0.750, 0.824, 0.475], [0.750, 0.367, 0.611], [0.750, 0.699, 0.825], [0.063, 0.910, 0.758], [0.250, 0.753, 0.006], [0.750, 0.115, 0.476], [0.750, 0.608, 0.023], [0.563, 0.667, 0.090], [0.750, 0.993, 0.760], [0.503, 0.669, 0.665], [0.250, 0.592, 0.884], [0.497, 0.331, 0.335], [0.750, 0.476, 0.700], [0.250, 0.524, 0.300], [0.997, 0.669, 0.665], [0.750, 0.756, 0.248], [0.250, 0.885, 0.524], [0.750, 0.023, 0.368], [0.250, 0.633, 0.389]],
  "e_form_ev_per_atom": -3.541,
  "space_group": "P2_1/m, No. 11",
  "e_above_lowest_polymorph_ev_per_atom": 0.004,
  "magnetic_moment_mub_per_atom": 0.00
}


{
  "formula": "CaYSiO5",
  "functional": "PBE",
  "state": "relaxed",
  "cell": [[-6.143, 0.000, 2.598], [-0.476, 0.000, -7.977], [0.000, -9.288, 0.000]],
  "species": ["Y", "Si", "Y", "Si", "Ca", "Si", "O", "Ca", "O", "O", "O", "O", "O", "Y", "O", "O", "O", "Ca", "O", "Ca", "O", "O", "Y", "O", "O", "O", "O", "O", "O", "O", "O", "Si"],
  "frac_coords": [[0.750, 0.494, 0.749], [0.251, 0.757, 0.567], [0.750, 0.994, 0.751], [0.749, 0.243, 0.433], [0.249, 0.242, 0.602], [0.251, 0.257, 0.933], [0.618, 0.337, 0.539], [0.751, 0.258, 0.102], [0.407, 0.400, 0.818], [0.247, 0.257, 0.360], [0.091, 0.604, 0.676], [0.909, 0.896, 0.176], [0.909, 0.396, 0.324], [0.250, 0.506, 0.251], [0.382, 0.663, 0.461], [0.877, 0.146, 0.538], [0.247, 0.757, 0.140], [0.751, 0.758, 0.398], [0.593, 0.100, 0.318], [0.249, 0.742, 0.898], [0.382, 0.163, 0.039], [0.877, 0.646, 0.962], [0.250, 0.006, 0.249], [0.091, 0.104, 0.824], [0.618, 0.837, 0.961], [0.407, 0.900, 0.682], [0.753, 0.743, 0.640], [0.593, 0.600, 0.182], [0.123, 0.354, 0.038], [0.753, 0.243, 0.860], [0.123, 0.854, 0.462], [0.749, 0.743, 0.067]],
  "e_form_ev_per_atom": -3.271,
  "space_group": "P2_1/c, No. 14",
  "magnetic_moment_mub_per_atom": 0.13
}